22
Lattice="7.316 0.000 0.000 0.000 12.509 0.000 -2.479 0.000 10.179" Properties=species:S:1:pos:R:3 comment="TaTeBr9, optimized geometry, DFT PBE" delta_e_f_ev_per_atom=-1.13 volume_a3_per_cell=931.60 sg="P2_1/m, No. 11" pbc="T T T"
Ta 0.705 3.127 1.485
Ta 4.133 9.382 8.694
Te 0.570 3.127 5.409
Te 4.267 9.382 4.771
Br -0.797 9.382 3.568
Br -0.375 1.362 3.137
Br -0.375 4.892 3.137
Br -1.125 9.382 10.028
Br 1.799 1.301 0.267
Br 1.799 4.953 0.267
Br 1.624 1.221 6.743
Br 1.624 5.033 6.743
Br 2.687 3.127 3.236
Br 2.151 9.382 6.943
Br 3.214 7.475 3.436
Br 3.214 11.288 3.436
Br 3.039 7.556 9.912
Br 3.039 11.207 9.912
Br 5.963 3.127 0.152
Br 5.213 7.617 7.042
Br 5.213 11.146 7.042
Br 5.635 3.127 6.611